1.
Computed, not measured: a relaxed CrClO crystal at the meta-GGA r2SCAN level of DFT.

Summary:
* size of the total moment: 1.0000 μB/atom
* formation energy from the elements: -190 kJ per mole of atoms
* theoretical density: 3.50 g/cm3
* symmetry: Pmmn

abc: 3.1901 3.8666 7.9525
angles: 90.00 90.00 90.00
Closest atoms and distances in Å follow each position.
Fractional coordinates of all 6 atoms:
Cr (0.7500, 0.7500, 0.8940)  4 O 1.98-2.03
Cr (0.2500, 0.2500, 0.1060)  4 O 1.98-2.03
Cl (0.2500, 0.7500, 0.6814)  2 Cr 2.32
Cl (0.7500, 0.2500, 0.3186)  2 Cr 2.32
O (0.2500, 0.7500, 0.0522)  4 Cr 1.98-2.03
O (0.7500, 0.2500, 0.9478)  4 Cr 1.98-2.03


2.
Computed, not measured: a relaxed MoBr3O crystal at the meta-GGA r2SCAN level of DFT.

Summary:
* size of the total moment: 0.2000 μB/atom
* formation energy from the elements: -107 kJ per mole of atoms
* theoretical density: 4.32 g/cm3
* symmetry: P2_1/c

abc: 3.9243 11.7434 11.7391
angles: 90.00 90.50 90.00
Closest atoms and distances in Å follow each position.
Fractional coordinates of all 20 atoms:
Br (0.4994, 0.8217, 0.3931)  1 Mo 2.43
Br (0.0045, 0.1069, 0.3219)  1 Mo 2.43
Br (0.9955, 0.8931, 0.6781)  1 Mo 2.43
Br (0.5006, 0.1783, 0.6069)  1 Mo 2.43
Br (0.0035, 0.8947, 0.1055)  2 Mo 2.63
Br (0.5035, 0.6053, 0.6055)  2 Mo 2.63
Br (0.4965, 0.3947, 0.3945)  2 Mo 2.63
Br (0.0006, 0.3217, 0.1069)  1 Mo 2.43
Br (0.9965, 0.1053, 0.8945)  2 Mo 2.63
Br (0.4955, 0.6069, 0.1781)  1 Mo 2.43
Br (0.9994, 0.6783, 0.8931)  1 Mo 2.43
Br (0.5045, 0.3931, 0.8219)  1 Mo 2.43
O (0.9803, 0.3899, 0.6099)  1 Mo 1.70
O (0.4803, 0.1101, 0.1099)  1 Mo 1.70
O (0.0197, 0.6101, 0.3901)  1 Mo 1.70
O (0.5197, 0.8899, 0.8901)  1 Mo 1.70
Mo (0.9136, 0.1167, 0.1167)  1 O 1.70
Mo (0.5864, 0.6167, 0.3833)  1 O 1.70
Mo (0.4136, 0.3833, 0.6167)  1 O 1.70
Mo (0.0864, 0.8833, 0.8833)  1 O 1.70